Density functional theory data (PBE) for a geometry-optimized Na2H6Pt structure.

Formation energy from the elements = -0.35 eV/atom
SG = Fm-3m, No. 225

abc: 5.2128 5.2128 5.2128
angles: 60.00 60.00 60.00
Closest atoms and distances in Å follow each position.
Fractional coordinates of all 9 atoms:
Na: 0.7500 0.7500 0.7500  12 H 2.61
Na: 0.2500 0.2500 0.2500  12 H 2.61
H: 0.7762 0.7762 0.2238  1 Pt 1.65
H: 0.2238 0.7762 0.2238  1 Pt 1.65
H: 0.7762 0.2238 0.2238  1 Pt 1.65
H: 0.2238 0.2238 0.7762  1 Pt 1.65
H: 0.7762 0.2238 0.7762  1 Pt 1.65
H: 0.2238 0.7762 0.7762  1 Pt 1.65
Pt: 0.0000 0.0000 0.0000  6 H 1.65